Record 1
Density functional theory data (r²SCAN) for a relaxed Pr6CoBr10 crystal.

Space-group type: P-1
Size of the total moment (μB per cell): 1.0

a = 7.6568 Å, b = 9.3571 Å, c = 9.5450 Å
α = 109.74°, β = 106.98°, γ = 97.02°
Last column: nearest neighbours and their distance in Å.
Sites, in units of the cell vectors:
1 Pr 0.3701 0.1923 0.1442  1 Co 2.82, 4 Br 2.92-3.15
2 Pr 0.0223 0.8967 0.6935  1 Co 2.82, 3 Br 2.93-3.00
3 Pr 0.1229 0.7624 0.0442  1 Co 2.63
4 Pr 0.6299 0.8077 0.8558  1 Co 2.82, 4 Br 2.92-3.15
5 Pr 0.8771 0.2376 0.9558  1 Co 2.63
6 Pr 0.9777 0.1033 0.3065  1 Co 2.82, 3 Br 2.93-3.00
7 Co 0.0000 0.0000 0.0000  6 Pr 2.63-2.82
8 Br 0.4494 0.0799 0.8235  4 Pr 3.10-3.16
9 Br 0.7435 0.5376 0.9185  3 Pr 2.96-3.20
10 Br 0.2565 0.4624 0.0815  3 Pr 2.96-3.20
11 Br 0.9079 0.1710 0.6317  3 Pr 3.00-3.17
12 Br 0.6284 0.7191 0.5314  2 Pr 2.92-2.93
13 Br 0.5506 0.9201 0.1765  4 Pr 3.10-3.16
14 Br 0.0921 0.8290 0.3683  3 Pr 3.00-3.17
15 Br 0.8037 0.3629 0.2655  3 Pr 2.99-3.18
16 Br 0.1963 0.6371 0.7345  3 Pr 2.99-3.18
17 Br 0.3716 0.2809 0.4686  2 Pr 2.92-2.93


Record 2
Density functional theory data (r²SCAN) for a relaxed Rb2CoBr4 crystal.

Space-group type: Pnma
Size of the total moment (μB per cell): 12.0

a = 7.5929 Å, b = 9.7730 Å, c = 13.3355 Å
α = 90.00°, β = 90.00°, γ = 90.00°
Last column: nearest neighbours and their distance in Å.
Sites, in units of the cell vectors:
1 Rb 0.2500 0.6244 0.5838  8 Br 3.50-3.84, 1 Co 3.89
2 Rb 0.7500 0.3756 0.4162  8 Br 3.50-3.84, 1 Co 3.89
3 Rb 0.2500 0.1244 0.9162  8 Br 3.50-3.84, 1 Co 3.89
4 Rb 0.7500 0.8756 0.0838  8 Br 3.50-3.84, 1 Co 3.89
5 Rb 0.2500 0.9826 0.3273  7 Br 3.43-3.55
6 Rb 0.7500 0.0174 0.6727  7 Br 3.43-3.55
7 Rb 0.2500 0.4826 0.1727  7 Br 3.43-3.55
8 Rb 0.7500 0.5174 0.8273  7 Br 3.43-3.55
9 Co 0.2500 0.7264 0.9237  4 Br 2.39-2.40
10 Co 0.2500 0.2264 0.5763  4 Br 2.39-2.40
11 Co 0.7500 0.7736 0.4237  4 Br 2.39-2.40
12 Co 0.7500 0.2736 0.0763  4 Br 2.39-2.40
13 Br 0.9946 0.3212 0.6538  1 Co 2.39
14 Br 0.4946 0.6788 0.3462  1 Co 2.39
15 Br 0.5054 0.8212 0.8462  1 Co 2.39
16 Br 0.0054 0.1788 0.1538  1 Co 2.39
17 Br 0.9946 0.8212 0.8462  1 Co 2.39
18 Br 0.0054 0.6788 0.3462  1 Co 2.39
19 Br 0.4946 0.1788 0.1538  1 Co 2.39
20 Br 0.5054 0.3212 0.6538  1 Co 2.39
21 Br 0.7500 0.5173 0.0903  1 Co 2.39
22 Br 0.2500 0.4827 0.9097  1 Co 2.39
23 Br 0.7500 0.0173 0.4097  1 Co 2.39
24 Br 0.2500 0.9827 0.5903  1 Co 2.39
25 Br 0.7500 0.1842 0.9088  1 Co 2.40
26 Br 0.2500 0.8158 0.0912  1 Co 2.40
27 Br 0.7500 0.6842 0.5912  1 Co 2.40
28 Br 0.2500 0.3158 0.4088  1 Co 2.40


How do the records compare in E_form? In the order shown, they have -1.803, -1.460 eV/atom.